No. 1
The following is a DFT calculation (meta-GGA r2SCAN) of In2Bi after structural relaxation.

## Properties
Symmetry: P-6m2 (187)
DFT formation energy, eV per formula unit: 0.17

Cell lengths 5.4822, 5.4822, 3.3539 Å; angles 90.00, 90.00, 120.00 degrees
With the nearest neighbours (Å) after each atom.
Atoms (fractional coordinates):
In: 0.0000 0.0000 0.0000  3 Bi 3.17, 2 In 3.35
In: 0.3333 0.6667 0.5000  8 In 3.35-3.58, 6 Bi 3.58
Bi: 0.6667 0.3333 0.0000  3 In 3.17, 2 Bi 3.35


No. 2
The following is a DFT calculation (meta-GGA r2SCAN) of Na3In2Ag after structural relaxation.

## Properties
Symmetry: Fd-3m (227)
DFT formation energy, eV per formula unit: -1.15

Cell lengths 9.6490, 9.6490, 9.6490 Å; angles 60.00, 60.00, 60.00 degrees
With the nearest neighbours (Å) after each atom.
Atoms (fractional coordinates):
Na: 0.0802 0.0802 0.6698  4 In 3.28-3.31, 2 Ag 3.34, 4 Na 3.52
Na: 0.0802 0.6698 0.0802  4 In 3.28-3.31, 2 Ag 3.34, 4 Na 3.52
Na: 0.0802 0.6698 0.6698  4 In 3.28-3.31, 2 Ag 3.34, 4 Na 3.52
Na: 0.3302 0.3302 0.9198  4 In 3.28-3.31, 2 Ag 3.34, 4 Na 3.52
Na: 0.3302 0.9198 0.3302  4 In 3.28-3.31, 2 Ag 3.34, 4 Na 3.52
Na: 0.3302 0.9198 0.9198  4 In 3.28-3.31, 2 Ag 3.34, 4 Na 3.52
Na: 0.6698 0.0802 0.0802  4 In 3.28-3.31, 2 Ag 3.34, 4 Na 3.52
Na: 0.6698 0.0802 0.6698  4 In 3.28-3.31, 2 Ag 3.34, 4 Na 3.52
Na: 0.6698 0.6698 0.0802  4 In 3.28-3.31, 2 Ag 3.34, 4 Na 3.52
Na: 0.9198 0.3302 0.3302  4 In 3.28-3.31, 2 Ag 3.34, 4 Na 3.52
Na: 0.9198 0.3302 0.9198  4 In 3.28-3.31, 2 Ag 3.34, 4 Na 3.52
Na: 0.9198 0.9198 0.3302  4 In 3.28-3.31, 2 Ag 3.34, 4 Na 3.52
In: 0.2927 0.2927 0.2927  3 Ag 2.95, 3 In 3.18, 3 Na 3.28
In: 0.2927 0.2927 0.6219  3 Ag 2.95, 3 In 3.18, 3 Na 3.28
In: 0.2927 0.6219 0.2927  3 Ag 2.95, 3 In 3.18, 3 Na 3.28
In: 0.3781 0.7073 0.7073  3 Ag 2.95, 3 In 3.18, 3 Na 3.28
In: 0.6219 0.2927 0.2927  3 Ag 2.95, 3 In 3.18, 3 Na 3.28
In: 0.7073 0.3781 0.7073  3 Ag 2.95, 3 In 3.18, 3 Na 3.28
In: 0.7073 0.7073 0.3781  3 Ag 2.95, 3 In 3.18, 3 Na 3.28
In: 0.7073 0.7073 0.7073  3 Ag 2.95, 3 In 3.18, 3 Na 3.28
Ag: 0.0000 0.5000 0.5000  6 In 2.95
Ag: 0.5000 0.0000 0.5000  6 In 2.95
Ag: 0.5000 0.5000 0.0000  6 In 2.95
Ag: 0.5000 0.5000 0.5000  6 In 2.95


No. 3
The following is a DFT calculation (meta-GGA r2SCAN) of Cs3Er2I9 after structural relaxation.

## Properties
Symmetry: P6_3/mmc (194)
DFT formation energy, eV per formula unit: -24.11

Cell lengths 8.4823, 8.4823, 21.4341 Å; angles 90.00, 90.00, 120.00 degrees
With the nearest neighbours (Å) after each atom.
Atoms (fractional coordinates):
Cs: 0.0000 0.0000 0.2500  12 I 4.24-4.28
Cs: 0.0000 0.0000 0.7500  12 I 4.24-4.28
Cs: 0.3333 0.6667 0.0679  9 I 4.11-4.26
Cs: 0.3333 0.6667 0.4321  9 I 4.11-4.26
Cs: 0.6667 0.3333 0.5679  9 I 4.11-4.26
Cs: 0.6667 0.3333 0.9321  9 I 4.11-4.26
Er: 0.3333 0.6667 0.6559  6 I 2.90-3.12
Er: 0.3333 0.6667 0.8441  6 I 2.90-3.12
Er: 0.6667 0.3333 0.1559  6 I 2.90-3.12
Er: 0.6667 0.3333 0.3441  6 I 2.90-3.12
I: 0.0100 0.5050 0.7500  2 Er 3.12
I: 0.1647 0.3295 0.5852  1 Er 2.90
I: 0.1647 0.3295 0.9148  1 Er 2.90
I: 0.1647 0.8353 0.5852  1 Er 2.90
I: 0.1647 0.8353 0.9148  1 Er 2.90
I: 0.3295 0.1647 0.0852  1 Er 2.90
I: 0.3295 0.1647 0.4148  1 Er 2.90
I: 0.4950 0.5050 0.7500  2 Er 3.12
I: 0.4950 0.9900 0.7500  2 Er 3.12
I: 0.5050 0.0100 0.2500  2 Er 3.12
I: 0.5050 0.4950 0.2500  2 Er 3.12
I: 0.6705 0.8353 0.5852  1 Er 2.90
I: 0.6705 0.8353 0.9148  1 Er 2.90
I: 0.8353 0.1647 0.0852  1 Er 2.90
I: 0.8353 0.1647 0.4148  1 Er 2.90
I: 0.8353 0.6705 0.0852  1 Er 2.90
I: 0.8353 0.6705 0.4148  1 Er 2.90
I: 0.9900 0.4950 0.2500  2 Er 3.12


No. 4
The following is a DFT calculation (meta-GGA r2SCAN) of BaHfO3 after structural relaxation.

## Properties
Symmetry: P4mm (99)
DFT formation energy, eV per formula unit: -18.46

Cell lengths 4.1696, 4.1696, 4.1704 Å; angles 90.00, 90.00, 90.00 degrees
With the nearest neighbours (Å) after each atom.
Atoms (fractional coordinates):
Ba: 0.0000 0.0000 0.0000  12 O 2.94-2.96
Hf: 0.5000 0.5000 0.5014  6 O 2.08-2.09
O: 0.0000 0.5000 0.5025  2 Hf 2.08
O: 0.5000 0.0000 0.5025  2 Hf 2.08
O: 0.5000 0.5000 0.0015  2 Hf 2.08-2.09


No. 5
The following is a DFT calculation (meta-GGA r2SCAN) of DyMn2Ge2 after structural relaxation.

## Properties
Symmetry: I4/mmm (139)
DFT formation energy, eV per formula unit: -3.12

Cell lengths 6.1926, 6.1926, 6.1926 Å; angles 141.63, 141.63, 55.39 degrees
With the nearest neighbours (Å) after each atom.
Atoms (fractional coordinates):
Dy: 0.0000 0.0000 0.0000  8 Ge 3.13, 8 Mn 3.41
Mn: 0.2500 0.7500 0.5000  4 Ge 2.53
Mn: 0.7500 0.2500 0.5000  4 Ge 2.53
Ge: 0.3872 0.3872 0.0000  1 Ge 2.47, 4 Mn 2.53
Ge: 0.6128 0.6128 0.0000  1 Ge 2.47, 4 Mn 2.53


No. 6
The following is a DFT calculation (meta-GGA r2SCAN) of ErZn3 after structural relaxation.

## Properties
Symmetry: Pnma (62)
DFT formation energy, eV per formula unit: -1.58

Cell lengths 6.5972, 4.2865, 9.9301 Å; angles 90.00, 90.00, 90.00 degrees
With the nearest neighbours (Å) after each atom.
Atoms (fractional coordinates):
Er: 0.2203 0.2500 0.1624  12 Zn 2.93-3.21
Er: 0.2797 0.7500 0.6624  12 Zn 2.93-3.21
Er: 0.7203 0.2500 0.3376  12 Zn 2.93-3.21
Er: 0.7797 0.7500 0.8376  12 Zn 2.93-3.21
Zn: 0.0369 0.7500 0.3969  5 Zn 2.55-2.75
Zn: 0.0815 0.2500 0.8528  5 Zn 2.54-2.74
Zn: 0.2189 0.7500 0.9563  6 Zn 2.54-2.75
Zn: 0.2811 0.2500 0.4563  6 Zn 2.54-2.75
Zn: 0.4185 0.7500 0.3528  5 Zn 2.54-2.74
Zn: 0.4631 0.2500 0.8969  5 Zn 2.55-2.75
Zn: 0.5369 0.7500 0.1031  5 Zn 2.55-2.75
Zn: 0.5815 0.2500 0.6472  5 Zn 2.54-2.74
Zn: 0.7189 0.7500 0.5437  6 Zn 2.54-2.75
Zn: 0.7811 0.2500 0.0437  6 Zn 2.54-2.75
Zn: 0.9185 0.7500 0.1472  5 Zn 2.54-2.74
Zn: 0.9631 0.2500 0.6031  5 Zn 2.55-2.75